# DyGaGe2O7, optimized geometry, DFT PBE
# spin magnetization = 0.0000 μB/atom
# formation energy from the elements = -2.605 eV/atom
# calculated density = 5.96 Mg/m³
data_DyGaGe2O7
_symmetry_space_group_name_H-M 'P 1'
_symmetry_Int_Tables_number 1
_cell_length_a 6.615
_cell_length_b 7.269
_cell_length_c 12.857
_cell_angle_alpha 61.86
_cell_angle_beta 90.00
_cell_angle_gamma 90.00
loop_
_symmetry_equiv_pos_as_xyz
'x,y,z'
loop_
_atom_site_label
_atom_site_fract_x
_atom_site_fract_y
_atom_site_fract_z
Dy1 0.357 0.745 0.529
Dy2 0.643 0.255 0.471
Dy3 0.857 0.255 0.971
Dy4 0.143 0.745 0.029
Ga1 0.401 0.712 0.270
Ga2 0.599 0.288 0.730
Ga3 0.901 0.288 0.230
Ga4 0.099 0.712 0.770
Ge1 0.657 0.718 0.042
Ge2 0.343 0.282 0.958
Ge3 0.157 0.282 0.458
Ge4 0.843 0.718 0.542
Ge5 0.911 0.800 0.277
Ge6 0.089 0.200 0.723
Ge7 0.411 0.200 0.223
Ge8 0.589 0.800 0.777
O1 0.376 0.927 0.313
O2 0.624 0.073 0.687
O3 0.876 0.073 0.187
O4 0.124 0.927 0.813
O5 0.828 0.913 0.020
O6 0.172 0.087 0.980
O7 0.328 0.087 0.480
O8 0.672 0.913 0.520
O9 0.611 0.281 0.282
O10 0.389 0.719 0.718
O11 0.111 0.719 0.218
O12 0.889 0.281 0.782
O13 0.002 0.757 0.421
O14 0.998 0.243 0.579
O15 0.502 0.243 0.079
O16 0.498 0.757 0.921
O17 0.444 0.710 0.126
O18 0.556 0.290 0.874
O19 0.944 0.290 0.374
O20 0.056 0.710 0.626
O21 0.844 0.518 0.076
O22 0.156 0.482 0.924
O23 0.344 0.482 0.424
O24 0.656 0.518 0.576
O25 0.689 0.648 0.315
O26 0.311 0.352 0.685
O27 0.189 0.352 0.185
O28 0.811 0.648 0.815

=====

# Dy2Ga9Ir3, optimized geometry, DFT PBE
# formation energy from the elements = -0.672 eV/atom
# calculated density = 10.73 Mg/m³
data_Dy2Ga9Ir3
_symmetry_space_group_name_H-M 'P 1'
_symmetry_Int_Tables_number 1
_cell_length_a 7.585
_cell_length_b 7.585
_cell_length_c 9.496
_cell_angle_alpha 90.00
_cell_angle_beta 90.00
_cell_angle_gamma 119.97
loop_
_symmetry_equiv_pos_as_xyz
'x,y,z'
loop_
_atom_site_label
_atom_site_fract_x
_atom_site_fract_y
_atom_site_fract_z
Dy1 0.997 0.668 0.250
Dy2 0.003 0.332 0.750
Dy3 0.668 0.997 0.250
Dy4 0.332 0.003 0.750
Ga1 0.126 0.126 0.250
Ga2 0.874 0.874 0.750
Ga3 0.000 0.334 0.079
Ga4 0.000 0.666 0.921
Ga5 0.000 0.666 0.579
Ga6 0.334 0.000 0.421
Ga7 0.000 0.334 0.421
Ga8 0.666 0.000 0.579
Ga9 0.666 0.000 0.921
Ga10 0.334 0.000 0.079
Ga11 0.333 0.333 0.563
Ga12 0.667 0.667 0.437
Ga13 0.667 0.667 0.063
Ga14 0.333 0.333 0.937
Ga15 0.338 0.546 0.250
Ga16 0.662 0.454 0.750
Ga17 0.546 0.338 0.250
Ga18 0.454 0.662 0.750
Ir1 0.672 0.328 0.000
Ir2 0.328 0.672 0.000
Ir3 0.328 0.672 0.500
Ir4 0.672 0.328 0.500
Ir5 0.000 0.000 0.000
Ir6 0.000 0.000 0.500

=====

# LiDy2Ga, optimized geometry, DFT PBE
# spin magnetization = 0.0001 μB/atom
# formation energy from the elements = -0.313 eV/atom
# calculated density = 7.15 Mg/m³
data_LiDy2Ga
_symmetry_space_group_name_H-M 'P 1'
_symmetry_Int_Tables_number 1
_cell_length_a 5.090
_cell_length_b 5.090
_cell_length_c 5.090
_cell_angle_alpha 60.00
_cell_angle_beta 60.00
_cell_angle_gamma 60.00
loop_
_symmetry_equiv_pos_as_xyz
'x,y,z'
loop_
_atom_site_label
_atom_site_fract_x
_atom_site_fract_y
_atom_site_fract_z
Li1 0.000 0.000 0.000
Dy1 0.750 0.750 0.750
Dy2 0.250 0.250 0.250
Ga1 0.500 0.500 0.500

=====

# Dy2Mn12Ga5, optimized geometry, DFT PBE
# spin magnetization = 1.1726 μB/atom
# formation energy from the elements = 0.070 eV/atom
# energy relative to the lowest polymorph listed for this composition = 73 meV/atom
# calculated density = 7.66 Mg/m³
data_Dy2Mn12Ga5
_symmetry_space_group_name_H-M 'P 1'
_symmetry_Int_Tables_number 1
_cell_length_a 8.688
_cell_length_b 8.695
_cell_length_c 8.796
_cell_angle_alpha 60.38
_cell_angle_beta 90.00
_cell_angle_gamma 90.00
loop_
_symmetry_equiv_pos_as_xyz
'x,y,z'
loop_
_atom_site_label
_atom_site_fract_x
_atom_site_fract_y
_atom_site_fract_z
Dy1 0.250 0.999 0.003
Dy2 0.750 0.001 0.997
Dy3 0.750 0.661 0.677
Dy4 0.250 0.339 0.323
Mn1 0.250 0.970 0.359
Mn2 0.250 0.679 0.962
Mn3 0.250 0.357 0.671
Mn4 0.250 0.972 0.671
Mn5 0.250 0.671 0.359
Mn6 0.250 0.359 0.962
Mn7 0.750 0.030 0.641
Mn8 0.750 0.321 0.038
Mn9 0.750 0.643 0.329
Mn10 0.750 0.028 0.329
Mn11 0.750 0.329 0.641
Mn12 0.750 0.641 0.038
Mn13 0.518 0.317 0.838
Mn14 0.515 0.843 0.313
Mn15 0.518 0.845 0.838
Mn16 0.482 0.683 0.162
Mn17 0.485 0.157 0.687
Mn18 0.482 0.155 0.162
Mn19 0.018 0.683 0.162
Mn20 0.015 0.157 0.687
Mn21 0.018 0.155 0.162
Mn22 0.982 0.317 0.838
Mn23 0.985 0.843 0.313
Mn24 0.982 0.845 0.838
Ga1 0.393 0.667 0.667
Ga2 0.607 0.333 0.333
Ga3 0.893 0.333 0.333
Ga4 0.107 0.667 0.667
Ga5 0.500 0.000 0.500
Ga6 0.500 0.500 0.000
Ga7 0.500 0.500 0.500
Ga8 0.000 0.000 0.500
Ga9 0.000 0.500 0.000
Ga10 0.000 0.500 0.500

=====

# Dy2Mn12Ga5, optimized geometry, DFT PBE
# spin magnetization = 0.4792 μB/atom
# formation energy from the elements = -0.004 eV/atom
# energy relative to the lowest polymorph listed for this composition = 0 meV/atom
# calculated density = 8.29 Mg/m³
data_Dy2Mn12Ga5
_symmetry_space_group_name_H-M 'P 1'
_symmetry_Int_Tables_number 1
_cell_length_a 8.542
_cell_length_b 8.542
_cell_length_c 8.450
_cell_angle_alpha 90.00
_cell_angle_beta 90.00
_cell_angle_gamma 120.00
loop_
_symmetry_equiv_pos_as_xyz
'x,y,z'
loop_
_atom_site_label
_atom_site_fract_x
_atom_site_fract_y
_atom_site_fract_z
Dy1 0.000 0.000 0.250
Dy2 0.000 0.000 0.750
Dy3 0.333 0.667 0.750
Dy4 0.667 0.333 0.250
Mn1 0.324 0.354 0.250
Mn2 0.646 0.970 0.250
Mn3 0.030 0.676 0.250
Mn4 0.646 0.676 0.250
Mn5 0.030 0.354 0.250
Mn6 0.324 0.970 0.250
Mn7 0.676 0.646 0.750
Mn8 0.354 0.030 0.750
Mn9 0.970 0.324 0.750
Mn10 0.354 0.324 0.750
Mn11 0.970 0.646 0.750
Mn12 0.676 0.030 0.750
Mn13 0.155 0.845 0.507
Mn14 0.155 0.310 0.507
Mn15 0.690 0.845 0.507
Mn16 0.845 0.155 0.493
Mn17 0.845 0.690 0.493
Mn18 0.310 0.155 0.493
Mn19 0.845 0.155 0.007
Mn20 0.845 0.690 0.007
Mn21 0.310 0.155 0.007
Mn22 0.155 0.845 0.993
Mn23 0.155 0.310 0.993
Mn24 0.690 0.845 0.993
Ga1 0.333 0.667 0.395
Ga2 0.667 0.333 0.605
Ga3 0.667 0.333 0.895
Ga4 0.333 0.667 0.105
Ga5 0.500 0.500 0.500
Ga6 0.500 0.000 0.500
Ga7 0.000 0.500 0.500
Ga8 0.500 0.500 0.000
Ga9 0.500 0.000 0.000
Ga10 0.000 0.500 0.000

=====

# Dy2NbGaO7, optimized geometry, DFT PBE
# spin magnetization = 0.0000 μB/atom
# formation energy from the elements = -3.312 eV/atom
# calculated density = 7.30 Mg/m³
data_Dy2NbGaO7
_symmetry_space_group_name_H-M 'P 1'
_symmetry_Int_Tables_number 1
_cell_length_a 7.284
_cell_length_b 7.284
_cell_length_c 7.284
_cell_angle_alpha 121.00
_cell_angle_beta 119.14
_cell_angle_gamma 89.89
loop_
_symmetry_equiv_pos_as_xyz
'x,y,z'
loop_
_atom_site_label
_atom_site_fract_x
_atom_site_fract_y
_atom_site_fract_z
Dy1 0.500 0.500 0.500
Dy2 0.500 0.000 0.000
Dy3 0.500 0.500 0.000
Dy4 0.000 0.500 0.500
Nb1 0.000 0.000 0.000
Nb2 0.500 0.000 0.500
Ga1 0.000 0.000 0.500
Ga2 0.000 0.500 0.000
O1 0.375 0.625 0.750
O2 0.625 0.375 0.250
O3 0.333 0.083 0.250
O4 0.916 0.666 0.250
O5 0.334 0.667 0.252
O6 0.915 0.082 0.248
O7 0.334 0.082 0.667
O8 0.915 0.667 0.833
O9 0.667 0.917 0.750
O10 0.084 0.334 0.750
O11 0.666 0.333 0.748
O12 0.085 0.918 0.752
O13 0.666 0.918 0.333
O14 0.085 0.333 0.167

=====

# Dy3Ga2Ni6, optimized geometry, DFT PBE
# spin magnetization = 0.0090 μB/atom
# formation energy from the elements = -0.555 eV/atom
# calculated density = 9.20 Mg/m³
data_Dy3Ga2Ni6
_symmetry_space_group_name_H-M 'P 1'
_symmetry_Int_Tables_number 1
_cell_length_a 7.713
_cell_length_b 7.713
_cell_length_c 7.713
_cell_angle_alpha 109.47
_cell_angle_beta 109.47
_cell_angle_gamma 109.47
loop_
_symmetry_equiv_pos_as_xyz
'x,y,z'
loop_
_atom_site_label
_atom_site_fract_x
_atom_site_fract_y
_atom_site_fract_z
Dy1 0.705 0.705 0.000
Dy2 0.295 0.000 0.295
Dy3 0.000 0.295 0.295
Dy4 0.295 0.295 0.000
Dy5 0.705 0.000 0.705
Dy6 0.000 0.705 0.705
Ga1 0.000 0.000 0.500
Ga2 0.000 0.500 0.000
Ga3 0.500 0.000 0.000
Ga4 0.500 0.500 0.500
Ni1 0.336 0.336 0.672
Ni2 0.664 0.000 0.336
Ni3 0.000 0.664 0.336
Ni4 0.664 0.336 0.000
Ni5 0.336 0.672 0.336
Ni6 0.000 0.336 0.664
Ni7 0.336 0.664 0.000
Ni8 0.336 0.000 0.664
Ni9 0.672 0.336 0.336
Ni10 0.664 0.664 0.328
Ni11 0.664 0.328 0.664
Ni12 0.328 0.664 0.664

=====

# DyGa3Ni2, optimized geometry, DFT PBE
# formation energy from the elements = -0.567 eV/atom
# calculated density = 8.54 Mg/m³
data_DyGa3Ni2
_symmetry_space_group_name_H-M 'P 1'
_symmetry_Int_Tables_number 1
_cell_length_a 9.004
_cell_length_b 9.004
_cell_length_c 4.064
_cell_angle_alpha 90.00
_cell_angle_beta 90.00
_cell_angle_gamma 120.00
loop_
_symmetry_equiv_pos_as_xyz
'x,y,z'
loop_
_atom_site_label
_atom_site_fract_x
_atom_site_fract_y
_atom_site_fract_z
Dy1 0.333 0.667 0.000
Dy2 0.667 0.333 0.000
Dy3 0.000 0.000 0.500
Ga1 0.292 0.000 0.000
Ga2 0.292 0.292 0.000
Ga3 0.000 0.708 0.000
Ga4 0.000 0.292 0.000
Ga5 0.708 0.708 0.000
Ga6 0.708 0.000 0.000
Ga7 0.500 0.000 0.500
Ga8 0.500 0.500 0.500
Ga9 0.000 0.500 0.500
Ni1 0.183 0.366 0.500
Ni2 0.817 0.183 0.500
Ni3 0.366 0.183 0.500
Ni4 0.634 0.817 0.500
Ni5 0.183 0.817 0.500
Ni6 0.817 0.634 0.500

=====

# DyGa2Ni3, optimized geometry, DFT PBE
# formation energy from the elements = -0.559 eV/atom
# calculated density = 8.80 Mg/m³
data_DyGa2Ni3
_symmetry_space_group_name_H-M 'P 1'
_symmetry_Int_Tables_number 1
_cell_length_a 4.101
_cell_length_b 8.726
_cell_length_c 8.726
_cell_angle_alpha 60.00
_cell_angle_beta 90.00
_cell_angle_gamma 90.00
loop_
_symmetry_equiv_pos_as_xyz
'x,y,z'
loop_
_atom_site_label
_atom_site_fract_x
_atom_site_fract_y
_atom_site_fract_z
Dy1 0.500 0.333 0.333
Dy2 0.500 0.667 0.667
Dy3 0.000 0.000 0.000
Ga1 0.000 0.515 0.485
Ga2 0.000 0.485 0.000
Ga3 0.000 0.000 0.515
Ga4 0.500 0.270 0.730
Ga5 0.500 0.729 0.000
Ga6 0.500 0.000 0.271
Ni1 0.000 0.176 0.195
Ni2 0.000 0.195 0.629
Ni3 0.000 0.629 0.176
Ni4 0.000 0.805 0.824
Ni5 0.000 0.371 0.805
Ni6 0.000 0.824 0.371
Ni7 0.500 0.704 0.296
Ni8 0.500 0.296 0.000
Ni9 0.500 0.000 0.704

=====

# Dy6GaNi2, optimized geometry, DFT PBE
# formation energy from the elements = -0.356 eV/atom
# calculated density = 8.88 Mg/m³
data_Dy6GaNi2
_symmetry_space_group_name_H-M 'P 1'
_symmetry_Int_Tables_number 1
_cell_length_a 8.275
_cell_length_b 8.275
_cell_length_c 8.275
_cell_angle_alpha 113.17
_cell_angle_beta 109.40
_cell_angle_gamma 105.93
loop_
_symmetry_equiv_pos_as_xyz
'x,y,z'
loop_
_atom_site_label
_atom_site_fract_x
_atom_site_fract_y
_atom_site_fract_z
Dy1 0.040 0.735 0.305
Dy2 0.960 0.265 0.695
Dy3 0.571 0.265 0.305
Dy4 0.429 0.735 0.695
Dy5 0.675 0.868 0.194
Dy6 0.325 0.519 0.194
Dy7 0.325 0.132 0.806
Dy8 0.675 0.481 0.806
Dy9 0.181 0.214 0.395
Dy10 0.819 0.214 0.033
Dy11 0.181 0.786 0.967
Dy12 0.819 0.786 0.605
Ga1 0.000 0.500 0.500
Ga2 0.500 0.000 0.500
Ni1 0.647 0.500 0.147
Ni2 0.353 0.500 0.853
Ni3 0.877 0.877 0.000
Ni4 0.123 0.123 0.000

=====

# DyGa3Ni, optimized geometry, DFT PBE
# spin magnetization = 0.0000 μB/atom
# formation energy from the elements = -0.574 eV/atom
# calculated density = 8.11 Mg/m³
data_DyGa3Ni
_symmetry_space_group_name_H-M 'P 1'
_symmetry_Int_Tables_number 1
_cell_length_a 4.156
_cell_length_b 4.156
_cell_length_c 5.885
_cell_angle_alpha 69.32
_cell_angle_beta 69.32
_cell_angle_gamma 90.00
loop_
_symmetry_equiv_pos_as_xyz
'x,y,z'
loop_
_atom_site_label
_atom_site_fract_x
_atom_site_fract_y
_atom_site_fract_z
Dy1 0.010 0.010 0.980
Ga1 0.596 0.596 0.808
Ga2 0.761 0.261 0.478
Ga3 0.261 0.761 0.478
Ni1 0.372 0.372 0.256

=====

# Dy2Ga5Ni5, optimized geometry, DFT PBE
# spin magnetization = 0.0000 μB/atom
# formation energy from the elements = -0.566 eV/atom
# calculated density = 8.67 Mg/m³
data_Dy2Ga5Ni5
_symmetry_space_group_name_H-M 'P 1'
_symmetry_Int_Tables_number 1
_cell_length_a 4.066
_cell_length_b 8.857
_cell_length_c 15.429
_cell_angle_alpha 89.80
_cell_angle_beta 90.00
_cell_angle_gamma 90.00
loop_
_symmetry_equiv_pos_as_xyz
'x,y,z'
loop_
_atom_site_label
_atom_site_fract_x
_atom_site_fract_y
_atom_site_fract_z
Dy1 0.000 0.999 0.337
Dy2 0.000 0.504 0.836
Dy3 0.000 0.506 0.168
Dy4 0.000 0.003 0.664
Dy5 0.500 0.992 0.001
Dy6 0.500 0.497 0.496
Ga1 0.500 0.010 0.501
Ga2 0.500 0.508 0.001
Ga3 0.500 0.747 0.256
Ga4 0.500 0.252 0.752
Ga5 0.500 0.249 0.248
Ga6 0.500 0.752 0.748
Ga7 0.000 0.145 0.854
Ga8 0.000 0.145 0.147
Ga9 0.000 0.647 0.647
Ga10 0.000 0.782 0.494
Ga11 0.000 0.295 0.001
Ga12 0.000 0.850 0.140
Ga13 0.000 0.352 0.638
Ga14 0.000 0.362 0.362
Ga15 0.000 0.851 0.862
Ni1 0.500 0.995 0.185
Ni2 0.500 0.499 0.684
Ni3 0.500 0.225 0.405
Ni4 0.500 0.726 0.906
Ni5 0.500 0.779 0.410
Ni6 0.500 0.277 0.910
Ni7 0.500 0.495 0.316
Ni8 0.500 0.998 0.815
Ni9 0.500 0.725 0.094
Ni10 0.500 0.228 0.594
Ni11 0.500 0.277 0.091
Ni12 0.500 0.778 0.590
Ni13 0.000 0.200 0.499
Ni14 0.000 0.700 0.000
Ni15 0.000 0.649 0.350

=====

# Dy2GaNi2, optimized geometry, DFT PBE
# formation energy from the elements = -0.575 eV/atom
# calculated density = 9.07 Mg/m³
data_Dy2GaNi2
_symmetry_space_group_name_H-M 'P 1'
_symmetry_Int_Tables_number 1
_cell_length_a 4.214
_cell_length_b 5.366
_cell_length_c 5.370
_cell_angle_alpha 119.98
_cell_angle_beta 113.10
_cell_angle_gamma 90.00
loop_
_symmetry_equiv_pos_as_xyz
'x,y,z'
loop_
_atom_site_label
_atom_site_fract_x
_atom_site_fract_y
_atom_site_fract_z
Dy1 0.798 0.298 0.597
Dy2 0.202 0.702 0.403
Ga1 0.000 0.000 0.000
Ni1 0.500 0.267 0.000
Ni2 0.500 0.733 0.000

=====

# Dy4Ga12Ni, optimized geometry, DFT PBE
# formation energy from the elements = -0.571 eV/atom
# calculated density = 8.05 Mg/m³
data_Dy4Ga12Ni
_symmetry_space_group_name_H-M 'P 1'
_symmetry_Int_Tables_number 1
_cell_length_a 7.455
_cell_length_b 7.455
_cell_length_c 7.455
_cell_angle_alpha 109.47
_cell_angle_beta 109.47
_cell_angle_gamma 109.47
loop_
_symmetry_equiv_pos_as_xyz
'x,y,z'
loop_
_atom_site_label
_atom_site_fract_x
_atom_site_fract_y
_atom_site_fract_z
Dy1 0.000 0.000 0.500
Dy2 0.000 0.500 0.000
Dy3 0.500 0.000 0.000
Dy4 0.500 0.500 0.500
Ga1 0.750 0.250 0.500
Ga2 0.750 0.500 0.250
Ga3 0.500 0.250 0.750
Ga4 0.250 0.500 0.750
Ga5 0.250 0.750 0.500
Ga6 0.500 0.750 0.250
Ga7 0.711 0.711 0.000
Ga8 0.289 0.000 0.289
Ga9 0.000 0.289 0.289
Ga10 0.289 0.289 0.000
Ga11 0.711 0.000 0.711
Ga12 0.000 0.711 0.711
Ni1 0.000 0.000 0.000